The following is a DFT calculation (GGA-PBE) of a relaxed VGaN2 crystal.

Calculated values
VASP energy in eV/cell: -122.2
Formation enthalpy at 0 K in meV per atom: -623

abc: 5.611 6.508 5.202
angles: 90.00 90.00 90.00
Element x y z (fractional)
V  0.078  0.124  0.000
V  0.422  0.624  0.500
V  0.578  0.376  0.000
V  0.922  0.876  0.500
Ga  0.086  0.624  0.007
Ga  0.414  0.124  0.507
Ga  0.586  0.876  0.007
Ga  0.914  0.376  0.507
N  0.083  0.129  0.383
N  0.086  0.624  0.388
N  0.414  0.124  0.888
N  0.417  0.629  0.883
N  0.583  0.371  0.383
N  0.586  0.876  0.388
N  0.914  0.376  0.888
N  0.917  0.871  0.883

The following is a DFT calculation (GGA-PBE) of a relaxed GaW2N3 crystal.

Calculated values
VASP energy in eV/cell: -213.7
Formation enthalpy at 0 K in meV per atom: -92

abc: 7.547 7.547 8.638
angles: 92.28 92.28 138.39
Element x y z (fractional)
Ga  0.191  0.213  0.363
Ga  0.213  0.191  0.863
Ga  0.787  0.809  0.137
Ga  0.809  0.787  0.637
W  0.007  0.543  0.840
W  0.180  0.475  0.602
W  0.457  0.993  0.660
W  0.475  0.180  0.102
W  0.525  0.820  0.898
W  0.543  0.007  0.340
W  0.820  0.525  0.398
W  0.993  0.457  0.160
N  0.046  0.649  0.617
N  0.171  0.829  0.250
N  0.214  0.528  0.012
N  0.351  0.954  0.883
N  0.450  0.550  0.750
N  0.472  0.786  0.488
N  0.528  0.214  0.512
N  0.550  0.450  0.250
N  0.649  0.046  0.117
N  0.786  0.472  0.988
N  0.829  0.171  0.750
N  0.954  0.351  0.383

The following is a DFT calculation (GGA-PBE) of a relaxed YGa2N3 crystal.

Calculated values
VASP energy in eV/cell: -84.4
Formation enthalpy at 0 K in meV per atom: -958

abc: 5.970 5.970 5.299
angles: 90.00 90.00 59.61
Element x y z (fractional)
Y  0.188  0.812  0.500
Y  0.812  0.188  0.000
Ga  0.160  0.492  0.018
Ga  0.492  0.160  0.518
Ga  0.508  0.840  0.018
Ga  0.840  0.508  0.518
N  0.170  0.454  0.387
N  0.196  0.804  0.946
N  0.454  0.170  0.887
N  0.546  0.830  0.387
N  0.804  0.196  0.446
N  0.830  0.546  0.887